No. 1
4
Lattice="2.3605 -4.0362 0.0000 2.3605 4.0362 0.0000 0.0000 0.0000 7.6369" Properties=species:S:1:pos:R:3 comment="CdTe (PBE, relaxed)" sg="Cmc2_1, No. 36" crystal_system=orthorhombic piezo_max_c_m2=0.1 pbc="T T T"
Cd 2.3605 2.8130 0.0013
Cd 2.3605 -2.8130 3.8198
Te 2.3605 -2.5655 0.9533
Te 2.3605 2.5655 4.7717

No. 2
80
Lattice="-6.7130 6.9556 -12.2035 -7.9400 -0.3163 4.1530 3.5577 4.2676 7.0937" Properties=species:S:1:pos:R:3 comment="Na3TiSi2SnPO12 (PBE, relaxed)" sg="P1, No. 1" crystal_system=triclinic e_above_lowest_polymorph_ev_per_fu=0.00 pbc="T T T"
Na -4.2313 5.6943 7.2735
Na -9.0602 7.1123 -2.5166
Na -7.1309 5.1275 -8.0215
Na -1.6546 3.7279 1.4573
Na -1.5847 6.6698 -0.3108
Na -9.5692 4.3068 -0.6850
Na -2.2531 3.0613 7.9009
Na -2.1234 0.9759 3.2893
Na -12.1053 6.2980 -4.3998
Na -3.3622 8.7154 -4.5013
Na -4.7427 2.8476 -0.4240
Na -3.9005 5.0994 3.7201
Ti -8.5581 9.9964 -1.1853
Ti -6.5225 7.9866 -6.7436
Ti -2.5006 0.8880 0.1690
Ti -1.2058 6.6623 2.8261
Si -6.7987 5.4003 4.7420
Si -8.7947 7.4033 1.0609
Si -4.3491 5.5189 -5.7198
Si -2.3122 3.5072 -2.0727
Si -6.2240 9.0436 -3.4583
Si -1.4286 4.0549 5.1147
Si -4.9130 1.8695 2.4598
Si -9.6361 6.8396 -6.1260
Sn -4.6805 2.8723 5.8234
Sn -4.0590 6.5210 -2.3494
Sn -7.1085 4.3607 1.3666
Sn -9.7844 4.2204 -3.8386
P -5.0188 2.8746 9.2910
P 0.5400 1.0464 1.8806
P -4.3144 6.5119 1.0990
P -6.7726 4.3667 -2.1379
O -2.9163 4.0485 5.8474
O -7.6432 9.0000 -2.6458
O -8.1756 6.9126 -6.8605
O -3.5363 1.8947 1.5394
O -2.3593 7.7118 -2.3933
O -0.2445 5.6949 1.4792
O -8.8337 3.2059 1.2689
O -10.8813 5.3038 -2.4370
O -5.2191 5.2519 1.0710
O -4.9204 7.6493 1.9283
O -5.8593 5.6015 -2.0313
O -6.1925 3.2366 -2.9983
O -4.7107 8.9026 -7.1282
O 2.2879 4.2920 6.0121
O -6.5230 2.0036 6.0511
O -13.4575 6.5492 -6.9873
O -5.5477 4.6896 5.5057
O -8.9264 8.2529 -0.3376
O -5.5077 6.2749 -6.6014
O -2.2873 2.6576 -0.6890
O -4.9886 8.3452 -2.6623
O -1.5767 4.8959 3.7171
O -6.0826 2.5741 1.5447
O -9.6058 6.0571 -4.7040
O -7.2436 4.7373 3.3254
O -7.9211 8.1461 2.2226
O -3.9246 6.3051 -4.3484
O -3.4034 2.8650 -3.1484
O -6.4964 8.3433 -4.9460
O -0.4747 4.8070 6.2327
O -4.4612 2.6828 3.8067
O -10.6764 6.1576 -7.2204
O -6.2564 6.9324 4.5418
O -8.2617 5.9012 0.6922
O -4.7573 3.9596 -5.4012
O -2.8620 5.0012 -1.6865
O -5.7628 10.5821 -3.7728
O -0.8528 2.5414 4.8591
O -5.3703 0.3325 2.8060
O -10.2208 8.3147 -5.7226
O -4.7250 3.4824 7.8872
O -10.3785 9.3718 -2.3019
O -6.3655 7.4379 -8.8830
O -0.8417 1.4798 1.3437
O -4.0389 7.1143 -0.3041
O -2.9738 6.0260 1.7022
O -6.9677 3.7393 -0.7134
O -8.1448 4.8935 -2.6328

No. 3
4
Lattice="2.2163 -2.6379 2.6882 -2.1271 -2.3095 3.0395 -0.3607 -4.3362 -0.4057" Properties=species:S:1:pos:R:3 comment="Pd3F (PBE, relaxed)" sg="Fm-3m, No. 225" crystal_system=cubic pbc="T T T"
Pd -0.0679 -2.3209 1.3305
Pd -0.2036 -6.9627 3.9914
Pd -0.1357 -4.6418 2.6610
F 0.0000 0.0000 0.0000

No. 4
4
Lattice="-4.5951 -0.7266 1.9444 -1.8171 3.2060 3.4415 -3.7706 3.1227 -1.2062" Properties=species:S:1:pos:R:3 comment="PrAgAu2 (PBE, relaxed)" sg="Fm-3m, No. 225" crystal_system=cubic pbc="T T T"
Pr 0.0000 0.0000 0.0000
Ag -5.0915 2.8010 2.0898
Au -7.6372 4.2016 3.1347
Au -2.5457 1.4005 1.0449

No. 5
10
Lattice="6.8224 -1.7190 0.3314 1.9011 -6.5352 1.8131 2.7806 -4.3228 -4.8158" Properties=species:S:1:pos:R:3 comment="Ca6In2NF (PBE, relaxed)" sg="Fm-3m, No. 225" crystal_system=cubic pbc="T T T"
Ca 5.1954 -8.6648 -2.2025
Ca 3.7495 -6.4168 0.3018
Ca 7.7546 -6.1602 -2.9731
Ca 7.2973 -7.3107 0.4741
Ca 4.2068 -5.2663 -3.1454
Ca 6.3087 -3.9122 -0.4687
In 2.8760 -3.1443 -0.6678
In 8.6281 -9.4328 -2.0035
N 0.0000 0.0000 0.0000
F 5.7521 -6.2885 -1.3356

No. 6
14
Lattice="-1.1457 -6.6873 1.1078 -0.3471 3.4030 5.9631 -4.7520 2.4544 -4.3190" Properties=species:S:1:pos:R:3 comment="Ba4Cu3SeO6 (PBE, relaxed)" sg="Im-3m, No. 229" crystal_system=cubic pbc="T T T"
Ba -0.1736 1.7015 2.9815
Ba -0.5729 -3.3436 0.5539
Ba -2.3760 1.2272 -2.1595
Ba -3.1224 -0.4149 1.3759
Cu -2.9489 -2.1165 -1.6056
Cu -2.5496 2.9287 0.8220
Cu -0.7464 -1.6421 3.5355
Se 0.0000 0.0000 0.0000
O -2.9228 2.1076 2.5898
O -3.3221 -2.9375 0.1621
O -4.2236 -0.6521 -1.1946
O -2.0212 -0.1778 3.9465
O -4.0240 1.8705 0.0192
O -2.2209 -2.7004 2.7326

No. 7
6
Lattice="-2.2937 -3.9728 0.0000 -2.2937 3.9728 0.0000 0.0000 0.0000 -7.4687" Properties=species:S:1:pos:R:3 comment="HoCuPb (PBE, relaxed)" sg="P6_3/mmc, No. 194" crystal_system=hexagonal pbc="T T T"
Ho 0.0000 0.0000 -3.7343
Ho 0.0000 0.0000 0.0000
Cu -2.2937 1.3243 -5.6015
Cu -2.2937 -1.3243 -1.8672
Pb -2.2937 1.3243 -1.8672
Pb -2.2937 -1.3243 -5.6015

No. 8
3
Lattice="-2.4333 -1.8677 2.4321 -1.2634 -2.6228 -2.6170 2.5141 -2.8272 1.0053" Properties=species:S:1:pos:R:3 comment="BaC2 (PBE, relaxed)" sg="R-3m, No. 166" crystal_system=trigonal pbc="T T T"
Ba 0.0000 0.0000 0.0000
C -0.6917 -4.2804 0.4799
C -0.4909 -3.0373 0.3405

No. 9
16
Lattice="5.2031 0.0000 0.0000 0.0000 6.6557 0.0000 0.0000 0.0000 11.6926" Properties=species:S:1:pos:R:3 comment="LiLaMg6 (PBE, relaxed)" e_above_lowest_polymorph_ev_per_fu=0.00 pbc="T T T"
Li 0.0000 3.3278 3.9784
Li 0.0000 0.0000 9.8247
La 2.6016 3.3278 1.9804
La 2.6016 0.0000 7.8267
Mg 0.0000 1.6069 0.9146
Mg 0.0000 5.0488 0.9146
Mg 0.0000 0.0000 3.8864
Mg 2.6016 4.9440 4.9137
Mg 2.6016 1.7117 4.9137
Mg 2.6016 0.0000 1.8832
Mg 0.0000 4.9348 6.7609
Mg 0.0000 1.7209 6.7609
Mg 0.0000 3.3278 9.7326
Mg 2.6016 1.6161 10.7599
Mg 2.6016 5.0396 10.7599
Mg 2.6016 3.3278 7.7295

No. 10
48
Lattice="-6.9990 10.5396 -12.6111 0.0129 -3.5855 -3.0037 -8.0344 -2.9243 2.0150" Properties=species:S:1:pos:R:3 comment="KB3SeO7 (PBE, relaxed)" sg="P2_1/c, No. 14" crystal_system=monoclinic pbc="T T T"
K -11.7558 2.4761 -6.6941
K -5.2406 -2.9825 -2.2201
K -3.2647 1.5536 -6.9057
K -9.7799 7.0123 -11.3798
B -8.5526 0.9629 -4.3651
B -12.4713 4.5957 -11.8061
B -6.4678 3.0668 -9.2347
B -2.5492 -0.5660 -1.7937
B -7.9480 -1.1372 -3.1971
B -11.2732 3.9811 -9.7260
B -7.0725 5.1669 -10.4027
B -3.7473 0.0486 -3.8739
B -1.3532 0.2896 -3.7955
B -8.7996 3.9215 -9.2794
B -13.6673 3.7401 -9.8044
B -6.2209 0.1082 -4.3205
Se -8.9006 0.2357 -7.1331
Se -13.4252 7.2834 -11.3840
Se -6.1199 3.7940 -6.4667
Se -1.5953 -3.2537 -2.2158
O -8.9532 -1.4604 -6.5310
O -12.2715 7.3213 -10.0020
O -6.0673 5.4901 -7.0688
O -2.7490 -3.2916 -3.5978
O -10.3127 0.4219 -7.9688
O -5.9961 -1.9638 0.2936
O -4.7078 3.6078 -5.6311
O -9.0244 5.9936 -13.8934
O -9.4222 0.9770 -5.5937
O -12.5549 6.0169 -12.2949
O -5.5983 3.0528 -8.0061
O -2.4656 -1.9872 -1.3049
O -8.8778 -0.2185 -3.5494
O -11.2485 4.4254 -11.0045
O -6.1427 4.2483 -10.0504
O -3.7720 -0.3957 -2.5953
O -6.6138 -1.0212 -3.6025
O -12.4757 3.6668 -9.0832
O -8.4067 5.0509 -9.9974
O -2.5448 0.3630 -4.5166
O -8.2143 -2.2160 -2.3818
O -10.1389 3.7528 -8.9772
O -6.8062 6.2458 -11.2180
O -4.8816 0.2769 -4.6227
O -1.3203 -0.2095 -2.5316
O -7.8925 3.0051 -8.8495
O -13.7002 4.2392 -11.0682
O -7.1280 1.0246 -4.7504

No. 11
36
Lattice="-2.2521 4.2654 -4.9997 -6.8450 0.5767 3.5753 3.4885 8.1328 5.3669" Properties=species:S:1:pos:R:3 comment="BaH2C2O4 (PBE, relaxed)" sg="P2_12_12_1, No. 19" crystal_system=orthorhombic e_above_lowest_polymorph_ev_per_fu=0.52 pbc="T T T"
Ba -4.4853 2.8930 0.8601
Ba -0.6916 5.8322 -0.7376
Ba -0.9275 5.7805 4.1511
Ba -5.1128 11.4441 3.6113
H -2.1864 1.0766 -0.1928
H -4.9292 8.2367 5.3594
H -1.8287 9.0483 2.7779
H -5.1447 7.8301 1.4405
H -4.0343 5.7134 3.9611
H -4.7900 6.3297 -1.1568
H 0.1482 11.3297 2.6762
H 0.3306 2.3350 0.9045
C -3.9927 6.6777 -1.8544
C 0.7257 8.2784 5.3313
C -4.0271 5.3175 2.9282
C -2.4410 3.5165 -2.1313
C -2.5044 8.9840 3.6626
C 0.8220 7.8735 1.8236
C -5.4749 8.8375 1.7567
C -5.5422 2.4147 4.2532
O -2.9511 7.2140 -1.3102
O 1.3273 7.1776 5.0852
O -5.4710 1.7847 3.1278
O -6.4743 8.9279 2.5299
O -2.5928 3.7654 -0.8866
O -1.9370 2.2715 1.9130
O -4.7906 9.8300 1.3313
O -6.8805 6.7604 0.1111
O -0.4795 8.3737 5.7097
O -5.1611 5.1769 2.3551
O 0.0399 6.8460 1.8552
O -2.8579 7.8425 4.0488
O -2.9130 5.0099 2.4097
O -2.8349 10.1052 4.2122
O -1.3505 3.6384 -2.7643
O 0.4582 9.0754 1.8121

No. 12
112
Lattice="-0.5461 -7.0785 2.5004 1.5387 -4.0134 -11.0257 14.7508 -0.3640 2.1911" Properties=species:S:1:pos:R:3 comment="KB5O8 (PBE, relaxed)" sg="Pbca, No. 61" crystal_system=orthorhombic e_above_lowest_polymorph_ev_per_fu=0.19 pbc="T T T"
K 5.7350 -5.3704 -0.9800
K 9.4330 -1.5652 -0.7292
K 2.7687 -6.2573 -7.4218
K 13.5502 -9.7189 -3.5373
K 10.0085 -6.0855 -5.3541
K 6.3104 -9.8907 -5.6049
K 12.9747 -5.1986 1.0876
K 2.1933 -1.7370 -2.7969
B 5.9203 -1.6391 -2.0940
B 9.2665 -5.0538 0.2991
B 2.5306 -9.8507 -5.9287
B 13.7696 -6.3682 -4.9446
B 9.8232 -9.8168 -4.2401
B 6.4770 -6.4020 -6.6333
B 13.2129 -1.6052 -0.4054
B 1.9738 -5.0877 -1.3895
B 5.8102 -6.9994 2.1923
B 8.9834 -4.7893 -2.1872
B 2.0711 -3.0049 -6.1342
B 14.6223 -8.1182 -6.5392
B 9.9332 -4.4565 -8.5265
B 6.7601 -6.6666 -4.1469
B 13.6724 -8.4510 -0.1999
B 1.1212 -3.3377 0.2050
B 5.3216 -8.9574 -2.0698
B 9.4051 -3.6983 2.3811
B 3.7486 -4.1477 -10.3907
B 13.0116 -6.1084 -2.5889
B 10.4219 -2.4985 -4.2644
B 6.3383 -7.7576 -8.7153
B 11.9949 -7.3082 4.0566
B 2.7318 -5.3475 -3.7452
B 7.2943 -3.3273 -3.3079
B 7.7350 -5.4058 2.2336
B 1.6460 -9.4391 -8.2221
B 14.8116 -4.7396 -3.3719
B 8.4491 -8.1286 -3.0263
B 8.0085 -6.0501 -8.5677
B 14.0975 -2.0168 1.8880
B 0.9318 -6.7163 -2.9622
B 4.3073 -1.1338 -0.2970
B 10.8448 -6.0083 -1.3392
B 3.6090 -8.9618 -3.8957
B 12.7259 -6.8079 -7.1363
B 11.4362 -10.3221 -6.0371
B 4.8987 -5.4476 -4.9949
B 12.1345 -2.4941 -2.4384
B 3.0176 -4.6480 0.8022
O 6.6019 -6.0127 2.7845
O 8.3062 -4.2927 -3.3034
O 1.0757 -3.4602 -5.2665
O 15.5032 -9.1462 -6.8829
O 9.1416 -5.4432 -9.1187
O 7.4373 -7.1632 -3.0307
O 14.6678 -7.9957 -1.0677
O 0.2402 -2.3097 0.5488
O 6.1381 -7.6039 1.0250
O 8.6328 -4.4800 -0.9157
O 2.0905 -3.3060 -7.4550
O 14.6257 -7.5218 -5.3227
O 9.6054 -3.8520 -7.3592
O 7.1107 -6.9759 -5.4185
O 13.6530 -8.1499 1.1208
O 1.1178 -3.9341 -1.0114
O 4.7081 -1.9408 -1.3121
O 10.3871 -5.9398 -0.0633
O 3.5389 -9.0172 -5.2500
O 12.8529 -6.0139 -6.0429
O 11.0354 -9.5151 -5.0221
O 5.3564 -5.5161 -6.2708
O 12.2045 -2.4386 -1.0841
O 2.8906 -5.4420 -0.2913
O 4.9380 -8.2957 -0.9549
O 9.8213 -3.9385 1.1173
O 3.7907 -3.9188 -9.0589
O 12.9370 -6.7588 -3.7719
O 10.8055 -3.1602 -5.3792
O 5.9222 -7.5174 -7.4515
O 11.9527 -7.5371 2.7247
O 2.8065 -4.6971 -2.5623
O 6.7961 -2.8212 -2.1519
O 8.2414 -5.8070 1.0406
O 1.8026 -9.0543 -6.9306
O 14.6469 -5.2293 -4.6264
O 8.9474 -8.6347 -4.1823
O 7.5021 -5.6489 -7.3747
O 13.9408 -2.4016 0.5964
O 1.0966 -6.2266 -1.7077
O 4.1994 -4.7081 1.5014
O 10.9233 -2.8159 -3.0027
O 3.5928 -5.0637 -4.8045
O 12.7715 -10.3241 -6.3624
O 11.5441 -6.7478 -7.8355
O 4.8202 -8.6400 -3.3314
O 12.1507 -6.3921 -1.5297
O 2.9719 -1.1318 0.0283
O 4.6282 -7.3293 2.8653
O 10.0755 -5.6247 -2.4486
O 3.0792 -2.2213 -5.5609
O 13.7041 -7.7364 -7.5242
O 11.1153 -4.1266 -9.1995
O 5.6680 -5.8312 -3.8856
O 12.6643 -9.2346 -0.7733
O 2.0394 -3.7195 1.1900
O 5.8738 -3.0637 1.7280
O 8.9338 -8.5434 -1.7870
O 1.7750 -6.3343 -4.0042
O 14.9043 -4.9704 -8.6050
O 9.8697 -8.3922 -8.0621
O 6.8097 -2.9125 -4.5471
O 13.9684 -5.1216 -2.3299
O 0.8392 -6.4855 2.2709

Number 1: energy of formation from the pure elements -0.6607 eV per atom. Number 2: energy of formation from the pure elements -2.8072 eV per atom. Number 3: energy of formation from the pure elements -0.0819 eV per atom. Number 4: energy of formation from the pure elements -0.5611 eV per atom. Number 5: energy of formation from the pure elements -1.1032 eV per atom. Number 6: energy of formation from the pure elements -1.9859 eV per atom. Number 7: energy of formation from the pure elements -0.3211 eV per atom. Number 8: energy of formation from the pure elements 0.1761 eV per atom. Number 9: energy of formation from the pure elements 0.0256 eV per atom. Number 10: energy of formation from the pure elements -2.4283 eV per atom. Number 11: energy of formation from the pure elements -1.7256 eV per atom. Number 12: energy of formation from the pure elements -2.8303 eV per atom.